No. 1
## RbCaHfF7 (GGA-PBE)

Data for an optimized crystal structure of RbCaHfF7.

```
20
Lattice="3.470 -5.654 0.000 3.470 5.654 0.000 0.000 0.000 8.612" Properties=species:S:1:pos:R:3 pbc="T T T"
Rb 0.000 0.000 0.000
Rb 0.000 0.000 4.306
Ca 3.470 2.156 6.459
Ca 3.470 -2.156 2.153
Hf 3.470 2.186 2.153
Hf 3.470 -2.186 6.459
F 1.212 1.743 6.459
F 1.449 1.610 2.153
F 3.470 2.294 0.136
F 3.470 2.294 4.170
F 1.212 -1.743 2.153
F 1.449 -1.610 6.459
F 3.470 0.139 2.153
F 3.470 -0.139 6.459
F 5.492 1.610 2.153
F 5.728 1.743 6.459
F 3.470 -2.294 4.443
F 3.470 -2.294 8.476
F 5.492 -1.610 6.459
F 5.728 -1.743 2.153
```

## Properties
space group	Cmcm (63)
formation energy	-40.29	eV per formula unit
calculated density	4.3	g cm⁻³
final energy	-6.3402	eV per atom

No. 2
## CeScS3 (GGA-PBE)

Data for an optimized crystal structure of CeScS3.

```
20
Lattice="7.172 0.000 0.000 0.000 9.551 0.000 0.000 0.000 6.512" Properties=species:S:1:pos:R:3 pbc="T T T"
Ce 0.718 2.388 0.240
Ce 2.868 7.163 3.496
Ce 4.304 2.388 3.016
Ce 6.455 7.163 6.272
Sc 0.000 0.000 3.256
Sc 0.000 4.775 3.256
Sc 3.586 0.000 0.000
Sc 3.586 4.775 0.000
S 0.273 7.163 2.413
S 1.338 5.373 5.356
S 1.338 8.953 5.356
S 2.248 0.598 2.100
S 2.248 4.178 2.100
S 3.313 2.388 5.669
S 3.859 7.163 0.843
S 4.925 5.373 4.412
S 4.925 8.953 4.412
S 5.834 0.598 1.156
S 5.834 4.178 1.156
S 6.899 2.388 4.099
```

## Properties
space group	Pnma (62)
formation energy	-11.38	eV per formula unit
calculated density	4.2	g cm⁻³
final energy	-6.9098	eV per atom

No. 3
## NaCa2ScZn2Si6O18 (GGA-PBE)

Data for an optimized crystal structure of NaCa2ScZn2Si6O18.

```
60
Lattice="4.981 -13.624 0.000 4.981 13.624 0.000 -1.495 0.000 5.134" Properties=species:S:1:pos:R:3 pbc="T T T"
Na 3.859 7.302 3.851
Na 4.607 -7.302 1.284
Ca 4.607 10.914 1.284
Ca 4.607 1.824 1.284
Ca 3.859 -1.824 3.851
Ca 3.859 -10.914 3.851
Sc 4.607 5.480 1.284
Sc 3.859 -5.480 3.851
Zn 3.859 12.752 3.851
Zn 3.859 3.660 3.851
Zn 4.607 -3.660 1.284
Zn 4.607 -12.752 1.284
Si 0.981 5.353 3.916
Si 1.709 3.712 1.349
Si 1.760 0.836 3.750
Si 2.508 -0.836 1.183
Si 0.961 -3.712 3.916
Si 1.728 -5.353 1.349
Si 6.738 5.353 3.786
Si 7.505 3.712 1.218
Si 5.958 0.836 3.951
Si 6.706 -0.836 1.384
Si 6.758 -3.712 3.785
Si 7.486 -5.353 1.219
O 2.716 9.242 2.577
O 3.474 8.980 0.046
O 1.124 2.281 0.911
O 0.199 0.817 3.309
O 3.120 6.832 1.604
O 0.947 -0.817 0.742
O 2.532 5.310 4.400
O 0.376 -2.281 3.478
O 3.286 3.759 1.791
O 2.389 2.236 4.231
O 5.003 9.242 5.124
O 5.740 8.980 2.521
O 2.733 0.161 2.549
O 1.985 -0.161 5.116
O 6.094 6.832 0.964
O 5.187 5.310 3.302
O 3.136 -2.236 1.664
O 5.928 3.759 0.776
O 2.538 -3.759 4.358
O 5.330 2.236 3.470
O 3.280 -5.310 1.833
O 2.372 -6.832 4.171
O 6.481 0.161 0.018
O 5.734 -0.161 2.585
O 2.726 -8.980 2.613
O 3.463 -9.242 0.010
O 6.078 -2.236 0.903
O 5.180 -3.759 3.343
O 8.090 2.281 1.656
O 5.934 -5.310 0.735
O 7.520 0.817 4.393
O 5.346 -6.832 3.531
O 8.267 -0.817 1.826
O 7.343 -2.281 4.223
O 4.993 -8.980 5.088
O 5.751 -9.242 2.557
```

## Properties
space group	C2/c (15)
formation energy	-93.85	eV per formula unit
calculated density	3.5	g cm⁻³
final energy	-7.2429	eV per atom
total magnetic moment	0.0	μB/cell

No. 4
## BaNb3NO7 (GGA-PBE)

Data for an optimized crystal structure of BaNb3NO7.

```
24
Lattice="10.618 -1.944 0.000 10.618 1.944 0.000 -0.080 0.000 9.129" Properties=species:S:1:pos:R:3 pbc="T T T"
Ba 0.000 0.000 0.000
Ba 0.591 0.000 4.626
Nb 5.567 0.000 0.007
Nb 8.175 0.000 2.856
Nb 8.200 0.000 6.436
Nb 13.768 0.000 7.480
Nb 13.841 0.000 1.849
Nb 16.520 0.000 4.681
N 6.663 0.000 7.788
N 9.658 0.000 7.495
O 3.553 0.000 1.588
O 3.575 0.000 7.749
O 6.394 0.000 4.552
O 6.681 0.000 1.548
O 9.270 0.000 4.542
O 9.618 0.000 1.726
O 12.388 0.000 2.957
O 12.407 0.000 6.277
O 12.772 0.000 0.049
O 15.286 0.000 6.063
O 15.318 0.000 3.218
O 15.472 0.000 0.083
O 18.311 0.000 5.949
O 18.353 0.000 3.187
```

## Properties
space group	Cm (8)
formation energy	-33.56	eV per formula unit
maximum piezoelectric response	0.7	C/m2
calculated density	4.8	g cm⁻³
final energy	-8.6619	eV per atom
total magnetic moment	0.0	μB/cell
ΔE to the lowest computed polymorph	0.0166	eV per atom

Copy entry 1 word for word.
## RbCaHfF7 (GGA-PBE)

Data for an optimized crystal structure of RbCaHfF7.

```
20
Lattice="3.470 -5.654 0.000 3.470 5.654 0.000 0.000 0.000 8.612" Properties=species:S:1:pos:R:3 pbc="T T T"
Rb 0.000 0.000 0.000
Rb 0.000 0.000 4.306
Ca 3.470 2.156 6.459
Ca 3.470 -2.156 2.153
Hf 3.470 2.186 2.153
Hf 3.470 -2.186 6.459
F 1.212 1.743 6.459
F 1.449 1.610 2.153
F 3.470 2.294 0.136
F 3.470 2.294 4.170
F 1.212 -1.743 2.153
F 1.449 -1.610 6.459
F 3.470 0.139 2.153
F 3.470 -0.139 6.459
F 5.492 1.610 2.153
F 5.728 1.743 6.459
F 3.470 -2.294 4.443
F 3.470 -2.294 8.476
F 5.492 -1.610 6.459
F 5.728 -1.743 2.153
```

## Properties
space group	Cmcm (63)
formation energy	-40.29	eV per formula unit
calculated density	4.3	g cm⁻³
final energy	-6.3402	eV per atom